# 1
The following is a DFT calculation (meta-GGA r2SCAN) of a relaxed Tm5Mg crystal.

Cell lengths 6.516, 6.516, 6.516 Å; angles 55.11, 55.11, 55.11 degrees
Element x y z (fractional)
Tm1 0.000 0.657 0.343
Tm2 0.164 0.164 0.164
Tm3 0.343 0.000 0.657
Tm4 0.657 0.343 0.000
Tm5 0.836 0.836 0.836
Mg1 0.500 0.500 0.500

Output
The value obtained for the excess energy over the best structure of this formula in the dataset is 0.015 eV/atom.


# 2
The following is a DFT calculation (meta-GGA r2SCAN) of a relaxed TmMg5 crystal.

Cell lengths 6.204, 6.204, 7.047 Å; angles 107.04, 107.04, 33.75 degrees
Element x y z (fractional)
Tm1 0.000 0.000 0.000
Mg1 0.002 0.002 0.501
Mg2 0.327 0.327 0.173
Mg3 0.328 0.328 0.657
Mg4 0.672 0.672 0.343
Mg5 0.677 0.677 0.834

Output
The value obtained for the total DFT energy (no corrections) is -9.321 eV/atom.


# 3
The following is a DFT calculation (meta-GGA r2SCAN) of a relaxed Tm5Mg crystal.

Cell lengths 5.513, 9.197, 9.197 Å; angles 22.13, 90.00, 90.00 degrees
Element x y z (fractional)
Tm1 0.000 0.000 0.000
Tm2 0.000 0.329 0.329
Tm3 0.000 0.667 0.667
Tm4 0.500 0.114 0.114
Tm5 0.500 0.447 0.447
Mg1 0.500 0.777 0.777

Output
The value obtained for the excess energy over the best structure of this formula in the dataset is 0.000 eV/atom.


# 4
The following is a DFT calculation (meta-GGA r2SCAN) of a relaxed Tm3Mg crystal.

Cell lengths 3.520, 3.520, 9.204 Å; angles 90.00, 90.00, 90.00 degrees
Element x y z (fractional)
Tm1 0.000 0.000 0.000
Tm2 0.500 0.500 0.262
Tm3 0.500 0.500 0.738
Mg1 0.000 0.000 0.500

Output
The value obtained for the excess energy over the best structure of this formula in the dataset is 0.000 eV/atom.


# 5
The following is a DFT calculation (meta-GGA r2SCAN) of a relaxed Tm5Mg24 crystal.

Cell lengths 9.660, 9.660, 9.660 Å; angles 109.47, 109.47, 109.47 degrees
Element x y z (fractional)
Tm1 0.000 0.000 0.000
Tm2 0.000 0.000 0.372
Tm3 0.000 0.372 0.000
Tm4 0.372 0.000 0.000
Tm5 0.628 0.628 0.628
Mg1 0.000 0.322 0.609
Mg2 0.000 0.609 0.322
Mg3 0.000 0.630 0.809
Mg4 0.000 0.809 0.630
Mg5 0.179 0.370 0.370
Mg6 0.191 0.191 0.821
Mg7 0.191 0.821 0.191
Mg8 0.286 0.678 0.678
Mg9 0.322 0.000 0.609
Mg10 0.322 0.609 0.000
Mg11 0.370 0.179 0.370
Mg12 0.370 0.370 0.179
Mg13 0.391 0.391 0.714
Mg14 0.391 0.714 0.391
Mg15 0.609 0.000 0.322
Mg16 0.609 0.322 0.000
Mg17 0.630 0.000 0.809
Mg18 0.630 0.809 0.000
Mg19 0.678 0.286 0.678
Mg20 0.678 0.678 0.286
Mg21 0.714 0.391 0.391
Mg22 0.809 0.000 0.630
Mg23 0.809 0.630 0.000
Mg24 0.821 0.191 0.191

Output
The value obtained for the total DFT energy (no corrections) is -9.539 eV/atom.


# 6
The following is a DFT calculation (meta-GGA r2SCAN) of a relaxed TmMg5 crystal.

Cell lengths 3.232, 3.232, 15.858 Å; angles 90.00, 90.00, 120.00 degrees
Element x y z (fractional)
Tm1 0.000 0.000 0.000
Mg1 0.000 0.000 0.339
Mg2 0.000 0.000 0.662
Mg3 0.333 0.667 0.176
Mg4 0.333 0.667 0.501
Mg5 0.333 0.667 0.824

Output
The value obtained for the total DFT energy (no corrections) is -9.300 eV/atom.


# 7
The following is a DFT calculation (meta-GGA r2SCAN) of a relaxed TmMg5 crystal.

Cell lengths 5.263, 8.629, 8.629 Å; angles 21.64, 90.00, 90.00 degrees
Element x y z (fractional)
Tm1 0.000 0.000 0.000
Mg1 0.000 0.328 0.328
Mg2 0.000 0.667 0.667
Mg3 0.500 0.218 0.218
Mg4 0.500 0.556 0.556
Mg5 0.500 0.886 0.886

Output
The value obtained for the total DFT energy (no corrections) is -9.303 eV/atom.


# 8
The following is a DFT calculation (meta-GGA r2SCAN) of a relaxed Y2Mg crystal.

Cell lengths 13.126, 5.227, 5.221 Å; angles 90.00, 90.00, 90.00 degrees
Element x y z (fractional)
Mg1 0.500 0.247 0.750
Y1 0.842 0.249 0.750
Y2 0.842 0.751 0.250
Mg2 0.500 0.753 0.250
Mg3 0.000 0.747 0.750
Y3 0.657 0.251 0.250
Mg4 0.000 0.253 0.250
Y4 0.158 0.249 0.750
Y5 0.343 0.749 0.750
Y6 0.343 0.251 0.250
Y7 0.657 0.749 0.750
Y8 0.158 0.751 0.250

Output
The value obtained for the total DFT energy (no corrections) is -14.987 eV/atom.


# 9
The following is a DFT calculation (meta-GGA r2SCAN) of a relaxed Y2Mg crystal.

Cell lengths 6.813, 6.813, 7.842 Å; angles 104.82, 104.82, 31.02 degrees
Element x y z (fractional)
Y1 0.019 0.019 0.281
Y2 0.306 0.306 0.364
Y3 0.694 0.694 0.636
Y4 0.981 0.981 0.719
Mg1 0.351 0.351 0.964
Mg2 0.649 0.649 0.036

Output
The value obtained for the total DFT energy (no corrections) is -14.927 eV/atom.


# 10
The following is a DFT calculation (meta-GGA r2SCAN) of a relaxed Y5Mg24 crystal.

Cell lengths 9.731, 9.731, 9.731 Å; angles 109.47, 109.47, 109.47 degrees
Element x y z (fractional)
Y1 0.000 0.000 0.000
Y2 0.000 0.000 0.624
Y3 0.000 0.624 0.000
Y4 0.376 0.376 0.376
Y5 0.624 0.000 0.000
Mg1 0.000 0.190 0.369
Mg2 0.000 0.369 0.190
Mg3 0.000 0.387 0.673
Mg4 0.000 0.673 0.387
Mg5 0.179 0.810 0.810
Mg6 0.190 0.000 0.369
Mg7 0.190 0.369 0.000
Mg8 0.286 0.613 0.613
Mg9 0.327 0.327 0.714
Mg10 0.327 0.714 0.327
Mg11 0.369 0.000 0.190
Mg12 0.369 0.190 0.000
Mg13 0.387 0.000 0.673
Mg14 0.387 0.673 0.000
Mg15 0.613 0.286 0.613
Mg16 0.613 0.613 0.286
Mg17 0.631 0.631 0.821
Mg18 0.631 0.821 0.631
Mg19 0.673 0.000 0.387
Mg20 0.673 0.387 0.000
Mg21 0.714 0.327 0.327
Mg22 0.810 0.179 0.810
Mg23 0.810 0.810 0.179
Mg24 0.821 0.631 0.631

Output
The value obtained for the total DFT energy (no corrections) is -7.005 eV/atom.


# 11
The following is a DFT calculation (meta-GGA r2SCAN) of a relaxed Y2Mg crystal.

Cell lengths 3.746, 5.476, 8.810 Å; angles 90.00, 102.25, 90.00 degrees
Element x y z (fractional)
Y1 0.089 0.250 0.177
Y2 0.228 0.750 0.454
Y3 0.772 0.250 0.546
Y4 0.911 0.750 0.823
Mg1 0.431 0.250 0.864
Mg2 0.569 0.750 0.136

Output
The value obtained for the total DFT energy (no corrections) is -14.994 eV/atom.


# 12
The following is a DFT calculation (meta-GGA r2SCAN) of a relaxed Y5Mg crystal.

Cell lengths 5.789, 9.368, 9.368 Å; angles 22.25, 90.00, 90.00 degrees
Element x y z (fractional)
Y1 0.000 0.000 0.000
Y2 0.000 0.329 0.329
Y3 0.000 0.662 0.662
Y4 0.500 0.215 0.215
Y5 0.500 0.885 0.885
Mg1 0.500 0.552 0.552

Output
The value obtained for the excess energy over the best structure of this formula in the dataset is 0.013 eV/atom.


# 13
The following is a DFT calculation (meta-GGA r2SCAN) of a relaxed Y5Mg crystal.

Cell lengths 6.752, 6.752, 8.388 Å; angles 105.12, 105.12, 31.21 degrees
Element x y z (fractional)
Y1 0.000 0.000 0.000
Y2 0.039 0.039 0.609
Y3 0.318 0.318 0.679
Y4 0.367 0.367 0.263
Y5 0.649 0.649 0.339
Mg1 0.711 0.711 0.944

Output
The value obtained for the excess energy over the best structure of this formula in the dataset is 0.000 eV/atom.


# 14
The following is a DFT calculation (meta-GGA r2SCAN) of a relaxed YMgZn crystal.

Cell lengths 7.498, 7.498, 4.174 Å; angles 90.00, 90.00, 120.00 degrees
Element x y z (fractional)
Y1 0.000 0.587 0.000
Y2 0.413 0.413 0.000
Y3 0.587 0.000 0.000
Mg1 0.000 0.243 0.500
Mg2 0.243 0.000 0.500
Mg3 0.757 0.757 0.500
Zn1 0.000 0.000 0.000
Zn2 0.333 0.667 0.500
Zn3 0.667 0.333 0.500

Output
The value obtained for the total DFT energy (no corrections) is -11.443 eV/atom.


# 15
The following is a DFT calculation (meta-GGA r2SCAN) of a relaxed YbMg3 crystal.

Cell lengths 6.577, 6.577, 5.156 Å; angles 90.00, 90.00, 120.00 degrees
Element x y z (fractional)
Yb1 0.333 0.667 0.250
Yb2 0.667 0.333 0.750
Mg1 0.164 0.328 0.750
Mg2 0.164 0.836 0.750
Mg3 0.328 0.164 0.250
Mg4 0.672 0.836 0.750
Mg5 0.836 0.164 0.250
Mg6 0.836 0.672 0.250

Output
The value obtained for the total DFT energy (no corrections) is -12.297 eV/atom.


# 16
The following is a DFT calculation (meta-GGA r2SCAN) of a relaxed Yb3Mg crystal.

Cell lengths 5.402, 5.402, 5.402 Å; angles 60.00, 60.00, 60.00 degrees
Element x y z (fractional)
Yb1 0.000 0.000 0.000
Yb2 0.250 0.250 0.250
Yb3 0.750 0.750 0.750
Mg1 0.500 0.500 0.500

Output
The value obtained for the total DFT energy (no corrections) is -28.398 eV/atom.


# 17
The following is a DFT calculation (meta-GGA r2SCAN) of a relaxed Yb3Mg crystal.

Cell lengths 4.823, 4.823, 4.823 Å; angles 90.00, 90.00, 90.00 degrees
Element x y z (fractional)
Yb1 0.000 0.000 0.500
Yb2 0.000 0.500 0.000
Yb3 0.500 0.000 0.000
Mg1 0.500 0.500 0.500

Output
The value obtained for the total DFT energy (no corrections) is -28.411 eV/atom.


# 18
The following is a DFT calculation (meta-GGA r2SCAN) of a relaxed Yb3Mg crystal.

Cell lengths 6.862, 6.862, 5.493 Å; angles 90.00, 90.00, 120.00 degrees
Element x y z (fractional)
Yb1 0.169 0.338 0.250
Yb2 0.169 0.831 0.250
Yb3 0.338 0.169 0.750
Yb4 0.662 0.831 0.250
Yb5 0.831 0.169 0.750
Yb6 0.831 0.662 0.750
Mg1 0.333 0.667 0.750
Mg2 0.667 0.333 0.250

Output
The value obtained for the total DFT energy (no corrections) is -28.445 eV/atom.


# 19
The following is a DFT calculation (meta-GGA r2SCAN) of a relaxed YbMg2 crystal.

Cell lengths 5.950, 5.950, 5.950 Å; angles 60.00, 60.00, 60.00 degrees
Element x y z (fractional)
Yb1 0.125 0.125 0.125
Yb2 0.875 0.875 0.875
Mg1 0.000 0.500 0.500
Mg2 0.500 0.000 0.500
Mg3 0.500 0.500 0.000
Mg4 0.500 0.500 0.500

Output
The value obtained for the total DFT energy (no corrections) is -15.021 eV/atom.


# 20
The following is a DFT calculation (meta-GGA r2SCAN) of a relaxed Yb3Mg crystal.

Cell lengths 5.825, 5.825, 5.825 Å; angles 130.32, 130.32, 72.89 degrees
Element x y z (fractional)
Yb1 0.000 0.000 0.000
Yb2 0.250 0.750 0.500
Yb3 0.750 0.250 0.500
Mg1 0.500 0.500 0.000

Output
The value obtained for the total DFT energy (no corrections) is -28.396 eV/atom.


# 21
The following is a DFT calculation (meta-GGA r2SCAN) of a relaxed YbMg3 crystal.

Cell lengths 5.115, 5.115, 5.115 Å; angles 60.00, 60.00, 60.00 degrees
Element x y z (fractional)
Yb1 0.000 0.000 0.000
Mg1 0.250 0.250 0.250
Mg2 0.500 0.500 0.500
Mg3 0.750 0.750 0.750

Output
The value obtained for the total DFT energy (no corrections) is -12.304 eV/atom.


# 22
The following is a DFT calculation (meta-GGA r2SCAN) of a relaxed YbMg crystal.

Cell lengths 5.288, 3.703, 5.293 Å; angles 90.00, 90.00, 90.00 degrees
Element x y z (fractional)
Yb1 0.250 0.000 0.247
Yb2 0.750 0.000 0.753
Mg1 0.250 0.500 0.746
Mg2 0.750 0.500 0.254

Output
The value obtained for the total DFT energy (no corrections) is -20.425 eV/atom.


# 23
The following is a DFT calculation (meta-GGA r2SCAN) of a relaxed Mg7Zn crystal.

Cell lengths 6.280, 6.280, 4.932 Å; angles 90.00, 90.00, 120.00 degrees
Element x y z (fractional)
Mg1 0.000 0.000 0.000
Mg2 0.009 0.505 0.000
Mg3 0.333 0.166 0.500
Mg4 0.495 0.505 0.000
Mg5 0.495 0.991 0.000
Mg6 0.834 0.166 0.500
Mg7 0.834 0.667 0.500
Zn1 0.333 0.667 0.500

Output
The value obtained for the total DFT energy (no corrections) is -4.753 eV/atom.


# 24
The following is a DFT calculation (meta-GGA r2SCAN) of a relaxed Mg2Zn crystal.

Cell lengths 5.376, 5.376, 4.739 Å; angles 90.00, 90.00, 55.70 degrees
Element x y z (fractional)
Mg1 0.041 0.649 0.750
Mg2 0.351 0.959 0.750
Mg3 0.649 0.041 0.250
Mg4 0.959 0.351 0.250
Zn1 0.325 0.675 0.250
Zn2 0.675 0.325 0.750

Output
The value obtained for the total DFT energy (no corrections) is -5.769 eV/atom.


# 25
The following is a DFT calculation (meta-GGA r2SCAN) of a relaxed Mg2Zn crystal.

Cell lengths 5.132, 5.132, 5.921 Å; angles 118.02, 118.02, 60.27 degrees
Element x y z (fractional)
Mg1 0.080 0.261 0.250
Mg2 0.261 0.080 0.750
Mg3 0.739 0.920 0.250
Mg4 0.920 0.739 0.750
Zn1 0.417 0.583 0.250
Zn2 0.583 0.417 0.750

Output
The value obtained for the total DFT energy (no corrections) is -5.754 eV/atom.


Number 1: total moment 0.8 μB per formula unit. Number 2: total moment 0.0 μB per formula unit. Number 3: total moment 1.4 μB per formula unit. Number 4: total moment 0.0 μB per formula unit. Number 5: total moment 0.0 μB per formula unit. Number 6: total moment 0.0 μB per formula unit. Number 7: total moment 0.0 μB per formula unit. Number 8: total moment 1.2 μB per formula unit. Number 9: total moment 0.6 μB per formula unit. Number 10: total moment 1.8 μB per formula unit. Number 11: total moment 0.0 μB per formula unit. Number 12: total moment 3.2 μB per formula unit. Number 13: total moment 2.2 μB per formula unit. Number 14: total moment 0.0 μB per formula unit. Number 15: total moment 0.0 μB per formula unit. Number 16: total moment 0.0 μB per formula unit. Number 17: total moment 0.0 μB per formula unit. Number 18: total moment 0.0 μB per formula unit. Number 19: total moment 0.0 μB per formula unit. Number 20: total moment 1.3 μB per formula unit. Number 21: total moment 0.0 μB per formula unit. Number 22: total moment 0.1 μB per formula unit. Number 23: total moment 0.0 μB per formula unit. Number 24: total moment 0.0 μB per formula unit. Number 25: total moment 0.0 μB per formula unit.